Version one
# BaIO5

An optimized crystal structure of BaIO5 (PBE, the Materials Project).

Output
Its space group is P-1. Its crystal system is triclinic.

Cell and atoms, written as extended XYZ:
```
14
Lattice="5.874 0.000 0.000 1.050 7.017 0.000 0.268 0.116 7.370" Properties=species:S:1:pos:R:3 pbc="T T T"
O 2.040 2.703 6.324
O 4.567 4.845 5.721
O 5.152 4.430 1.046
O 4.753 5.761 1.153
O 1.410 0.497 6.419
O 2.439 1.372 6.217
O 2.625 2.289 1.649
O 1.640 1.486 1.694
O 5.552 5.648 5.675
O 5.782 6.637 0.951
I 5.183 2.084 3.596
I 2.009 5.049 3.773
Ba 2.051 5.022 0.350
Ba 5.142 2.111 7.020
```

=====

Version two
# BaIO5

An optimized crystal structure of BaIO5 (PBE, the Materials Project).

Output
Its space group is P-1. Its crystal system is triclinic.

Cell and atoms, written as extended XYZ:
```
14
Lattice="4.844 0.000 0.000 -2.039 7.723 0.000 -0.131 -3.051 7.416" Properties=species:S:1:pos:R:3 pbc="T T T"
I 2.615 4.063 3.235
I 0.060 0.609 4.181
O 3.659 -0.293 1.244
O -0.985 4.965 6.172
O 0.023 1.348 6.039
O 3.131 -1.435 5.906
O 2.438 0.004 1.544
O -0.456 6.107 1.510
O 2.651 3.324 1.377
O 0.237 4.668 5.872
O 2.184 -0.617 6.230
O 0.490 5.290 1.186
Ba 0.246 2.313 0.732
Ba 2.429 2.359 6.684
```

=====

Version three
# BaIO5

An optimized crystal structure of BaIO5 (PBE, the Materials Project).

Output
Its space group is P-1. Its crystal system is triclinic.

Cell and atoms, written as extended XYZ:
```
14
Lattice="-5.469 0.000 0.000 -0.267 -6.978 0.000 -0.158 -1.334 7.505" Properties=species:S:1:pos:R:3 pbc="T T T"
I -4.578 -2.724 3.140
I -1.317 -5.587 4.365
O -2.427 -1.884 5.874
O -4.605 -6.822 6.215
O -3.467 -6.428 1.630
O -3.681 -5.907 6.287
O -4.755 -3.741 1.490
O -4.658 -6.886 1.504
O -2.213 -2.405 1.218
O -1.140 -4.571 6.015
O -1.237 -1.426 6.001
O -1.289 -1.490 1.290
Ba -4.550 -3.274 6.981
Ba -1.345 -5.038 0.524
```

=====

Quick ranking, most stable first: version two, version three, version one.

=====

Version one
# BaSr2I6

An optimized crystal structure of BaSr2I6 (PBE, the Materials Project).

Output
Its space group is C2/c. Its crystal system is monoclinic.

Cell and atoms, written as extended XYZ:
```
18
Lattice="3.953 13.149 0.000 -3.953 13.149 0.000 0.000 0.849 8.935" Properties=species:S:1:pos:R:3 pbc="T T T"
Sr 2.171 9.176 5.670
Sr 2.171 18.395 7.732
Sr -2.171 8.751 1.203
Sr -2.171 17.970 3.265
I -0.512 11.438 0.687
I -0.110 24.263 7.829
I -0.346 19.382 5.726
I -0.512 15.283 3.780
I 0.512 15.708 8.247
I -0.110 3.308 5.572
I 0.110 23.838 3.362
I 0.512 11.863 5.155
I 0.110 2.884 1.105
I 0.346 18.957 1.259
I -0.346 8.189 7.676
I 0.346 7.765 3.209
Ba -1.848 13.786 6.701
Ba 1.848 13.361 2.234
```

=====

Version two
# BaSr2I6

An optimized crystal structure of BaSr2I6 (PBE, the Materials Project).

Output
Its space group is C2/c. Its crystal system is monoclinic.

Cell and atoms, written as extended XYZ:
```
18
Lattice="7.745 4.534 0.000 -7.745 4.534 0.000 0.000 1.201 11.860" Properties=species:S:1:pos:R:3 pbc="T T T"
I -0.669 6.966 10.271
I -0.669 3.904 7.519
I -2.990 2.719 3.622
I -5.695 6.094 5.537
I 2.990 7.551 8.239
I -2.990 6.951 2.309
I 2.990 3.319 9.552
I 5.695 6.695 11.467
I -5.695 3.575 0.393
I 5.695 4.176 6.323
I 0.669 3.304 1.589
I 0.669 6.366 4.341
Sr 2.402 4.754 6.583
Sr -2.402 4.154 0.653
Sr -2.402 5.516 5.277
Sr 2.402 6.116 11.207
Ba -7.255 5.435 8.895
Ba 7.255 4.835 2.965
```

=====

Version three
# BaSr2I6

An optimized crystal structure of BaSr2I6 (PBE, the Materials Project).

Output
Its space group is P4_2/mnm. Its crystal system is tetragonal.

Cell and atoms, written as extended XYZ:
```
18
Lattice="-6.530 4.264 1.184 -0.597 -2.941 7.295 8.487 11.516 5.337" Properties=species:S:1:pos:R:3 pbc="T T T"
Sr 3.499 10.245 8.682
Sr -2.140 2.593 5.135
Sr 2.820 3.826 1.773
Sr 5.667 7.690 3.564
I 0.645 4.156 4.273
I 0.714 8.683 9.544
I -3.862 4.808 3.342
I -1.163 8.657 5.011
I 3.589 8.150 6.124
I 2.522 4.182 8.806
I 5.221 8.031 10.475
I -4.914 0.912 5.846
I -2.229 4.689 7.693
I -2.213 0.411 2.633
I 1.681 12.330 6.828
I -0.322 0.509 6.988
Ba 0.000 0.000 0.000
Ba 0.680 6.419 6.908
```

=====

Quick ranking, most stable first: version three, version two, version one.

=====

Version one
# BaSr2I6

An optimized crystal structure of BaSr2I6 (PBE, the Materials Project).

Output
Its space group is P2_1/c. Its crystal system is monoclinic.

Cell and atoms, written as extended XYZ:
```
18
Lattice="8.393 0.000 0.000 0.000 7.714 0.000 0.000 6.629 13.778" Properties=species:S:1:pos:R:3 pbc="T T T"
Sr 3.346 7.478 10.250
Sr 0.850 4.164 3.361
Sr 5.047 6.864 3.528
Sr 7.543 10.179 10.417
I 1.618 9.338 12.486
I 6.775 5.005 1.292
I 7.770 8.827 3.249
I 5.814 8.319 8.181
I 6.923 5.016 5.583
I 0.623 5.516 10.529
I 5.666 8.331 12.472
I 4.819 12.141 10.138
I 2.727 6.012 1.306
I 1.470 9.326 8.195
I 3.574 2.201 3.640
I 2.579 6.024 5.597
Ba 4.197 3.314 6.889
Ba 0.000 0.000 0.000
```

=====

Version two
# BaSr2I6

An optimized crystal structure of BaSr2I6 (PBE, the Materials Project).

Output
Its space group is P-4b2. Its crystal system is tetragonal.

Cell and atoms, written as extended XYZ:
```
36
Lattice="8.170 0.000 0.000 0.000 8.170 0.000 0.000 0.000 24.566" Properties=species:S:1:pos:R:3 pbc="T T T"
Sr 4.085 0.000 20.439
Sr 4.085 4.085 8.138
Sr 4.085 0.000 4.127
Sr 4.085 4.085 16.428
Sr 0.000 0.000 16.428
Sr 0.000 4.085 20.439
Sr 0.000 0.000 8.138
Sr 0.000 4.085 4.127
I 6.060 2.177 10.153
I 6.195 6.262 10.153
I 1.922 2.168 6.153
I 2.168 6.249 18.414
I 5.994 6.060 14.413
I 6.253 6.007 18.414
I 6.007 1.917 6.153
I 1.975 1.909 10.153
I 1.917 6.075 2.131
I 6.249 6.003 6.153
I 1.909 6.195 14.413
I 6.003 1.922 18.414
I 2.177 2.110 14.413
I 6.181 2.168 22.435
I 6.075 6.253 22.435
I 1.990 6.002 22.435
I 1.917 2.163 18.414
I 6.262 1.975 14.413
I 2.096 1.917 22.435
I 6.002 6.181 2.131
I 6.253 2.096 2.131
I 2.168 1.990 2.131
I 2.110 5.994 10.153
I 2.163 6.253 6.153
Ba 0.000 4.085 12.283
Ba 4.085 0.000 12.283
Ba 4.085 4.085 0.000
Ba 0.000 0.000 0.000
```

=====

Version three
# BaSr2I6

An optimized crystal structure of BaSr2I6 (PBE, the Materials Project).

Output
Its space group is P321. Its crystal system is trigonal.

Cell and atoms, written as extended XYZ:
```
27
Lattice="7.239 -12.539 0.000 7.239 12.539 0.000 0.000 0.000 7.531" Properties=species:S:1:pos:R:3 pbc="T T T"
Ba 7.239 4.180 3.722
Ba 7.239 -4.180 3.809
Ba 0.000 0.000 0.000
I 6.940 -9.650 1.894
I 4.602 -5.325 1.871
I 9.726 2.691 1.827
I 12.126 -1.704 1.894
I 7.566 -1.323 1.871
I 7.285 7.077 1.827
I 9.549 5.890 5.660
I 9.726 -2.691 5.704
I 7.566 1.323 5.660
I 4.602 5.325 5.660
I 7.285 -7.077 5.704
I 2.651 1.185 5.637
I 4.706 -2.771 5.704
I 2.651 -1.185 1.894
I 9.549 -5.890 1.871
I 6.940 9.650 5.637
I 4.706 2.771 1.827
I 12.126 1.704 5.637
Sr 2.251 3.898 3.765
Sr 9.977 0.000 3.765
Sr 4.666 8.082 0.000
Sr 2.251 -3.898 3.765
Sr 4.666 -8.082 0.000
Sr 5.146 0.000 0.000
```

=====

Quick ranking, most stable first: version three, version two, version one.

=====

Version one
# BaSr2I6

An optimized crystal structure of BaSr2I6 (PBE, the Materials Project).

Output
Its space group is P2_1/c. Its crystal system is monoclinic.

Cell and atoms, written as extended XYZ:
```
36
Lattice="8.280 0.000 0.000 0.000 8.503 0.000 0.000 1.050 24.767" Properties=species:S:1:pos:R:3 pbc="T T T"
I 6.511 1.725 12.828
I 1.774 1.581 16.354
I 1.610 4.159 24.342
I 5.914 8.497 20.796
I 5.750 5.919 12.808
I 6.669 5.394 0.424
I 5.909 1.200 0.444
I 6.665 0.574 4.461
I 6.404 4.333 21.163
I 1.876 5.220 3.604
I 5.755 1.099 16.844
I 1.981 4.280 7.756
I 2.530 3.634 11.959
I 6.016 3.808 8.779
I 1.769 7.828 11.939
I 2.525 8.454 7.922
I 6.299 5.274 17.011
I 6.506 7.972 8.412
I 1.615 8.979 20.306
I 2.264 5.745 15.987
I 2.371 8.353 24.322
I 2.366 1.056 3.971
I 6.121 4.748 4.627
I 2.159 4.805 20.139
Sr 3.892 6.054 10.086
Sr 7.964 2.770 18.749
Sr 0.316 6.783 6.018
Sr 3.824 7.308 18.401
Sr 4.388 3.499 14.681
Sr 4.456 2.245 6.366
Sr 0.248 6.579 22.469
Sr 8.032 2.974 2.298
Ba 7.961 7.709 14.712
Ba 3.821 2.369 22.438
Ba 4.459 7.184 2.329
Ba 0.319 1.844 10.054
```

=====

Version two
# BaSr2I6

An optimized crystal structure of BaSr2I6 (PBE, the Materials Project).

Output
Its space group is Pbcn. Its crystal system is orthorhombic.

Cell and atoms, written as extended XYZ:
```
36
Lattice="7.627 0.000 0.000 0.000 8.569 0.000 0.000 0.000 28.298" Properties=species:S:1:pos:R:3 pbc="T T T"
I 1.974 5.070 24.649
I 5.653 3.499 3.649
I 5.834 7.965 0.989
I 5.834 3.680 27.309
I 5.653 7.783 24.649
I 5.722 8.002 5.842
I 1.840 0.786 17.798
I 5.607 3.680 13.160
I 1.909 4.851 19.991
I 1.974 0.786 3.649
I 2.020 4.889 15.138
I 5.788 3.499 17.798
I 5.788 7.783 10.500
I 5.722 3.718 22.456
I 1.909 0.567 8.307
I 1.905 4.851 5.842
I 1.794 0.604 27.309
I 2.020 0.604 13.160
I 5.719 3.718 8.307
I 1.905 0.567 22.456
I 5.607 7.965 15.138
I 1.794 4.889 0.989
I 1.840 5.070 10.500
I 5.719 8.002 19.991
Sr 0.000 6.427 26.959
Sr 0.000 6.427 8.074
Sr 3.814 6.427 12.810
Sr 3.814 6.427 22.223
Sr 3.814 2.142 15.488
Sr 0.000 2.142 20.225
Sr 3.814 2.142 6.076
Sr 0.000 2.142 1.339
Ba 0.000 2.142 10.782
Ba 3.814 6.427 3.367
Ba 0.000 6.427 17.516
Ba 3.814 2.142 24.931
```

=====

Version three
# BaSr2I6

An optimized crystal structure of BaSr2I6 (PBE, the Materials Project).

Output
Its space group is P2_1/c. Its crystal system is monoclinic.

Cell and atoms, written as extended XYZ:
```
36
Lattice="-3.150 -8.609 -3.949 3.858 -4.970 7.758 -10.896 -2.609 14.379" Properties=species:S:1:pos:R:3 pbc="T T T"
Sr -8.247 -7.791 11.970
Sr -1.941 -8.397 6.218
Sr -7.765 -10.268 7.481
Sr -1.773 -7.479 0.973
Sr -8.415 -8.709 17.216
Sr -8.709 -13.309 11.753
Sr -2.424 -5.920 10.707
Sr -1.479 -2.879 6.435
I -5.823 -5.002 11.263
I -5.995 -13.620 9.967
I -2.910 -1.052 4.139
I -7.026 -8.491 20.236
I -9.308 -11.111 14.748
I -7.279 -15.137 14.049
I -0.880 -5.077 3.441
I -4.011 -8.219 3.608
I -8.004 -7.344 5.903
I -2.185 -8.845 12.286
I -11.036 -7.685 13.663
I -9.812 -10.487 10.355
I -1.554 -10.764 1.857
I -4.193 -2.569 8.221
I -3.163 -7.698 -2.048
I -6.177 -7.969 14.580
I -6.021 -9.389 10.276
I -9.814 -6.337 9.503
I 0.847 -8.504 4.525
I -0.374 -9.851 8.685
I -0.376 -5.701 7.833
I -8.634 -5.424 16.331
I -4.167 -6.799 7.912
I -4.365 -11.186 6.925
Ba -1.196 -2.287 1.145
Ba -3.167 -11.565 10.327
Ba -8.992 -13.901 17.043
Ba -7.022 -4.624 7.861
```

=====

Quick ranking, most stable first: version two, version one, version three.

=====

Version one
# BaSr2I6

An optimized crystal structure of BaSr2I6 (PBE, the Materials Project).

Output
Its space group is P-31m. Its crystal system is trigonal.

Cell and atoms, written as extended XYZ:
```
9
Lattice="-6.933 3.701 2.882 0.271 -2.827 -7.875 -2.644 -6.775 2.341" Properties=species:S:1:pos:R:3 pbc="T T T"
I -0.589 -2.727 -2.119
I -1.784 -6.875 -3.414
I -5.040 -1.177 -2.661
I -3.081 -0.469 1.601
I -4.266 -4.724 0.010
I -6.496 -2.605 3.622
Ba 0.000 0.000 0.000
Sr -3.452 -4.038 -3.119
Sr -5.854 -1.862 0.467
```

=====

Version two
# BaSr2I6

An optimized crystal structure of BaSr2I6 (PBE, the Materials Project).

Output
Its space group is Cmce. Its crystal system is orthorhombic.

Cell and atoms, written as extended XYZ:
```
18
Lattice="-12.931 0.680 -0.120 10.259 -1.024 7.835 0.424 8.139 0.509" Properties=species:S:1:pos:R:3 pbc="T T T"
I -2.587 2.102 1.391
I -2.357 6.174 1.593
I 1.675 5.877 2.977
I 0.338 5.694 6.834
I 0.109 1.622 6.631
I -3.694 5.990 5.450
I -7.651 2.209 3.796
I 3.944 1.357 7.773
I 1.445 1.805 2.774
I 5.402 5.587 4.429
I -3.924 1.918 5.248
I -6.192 6.439 0.451
Sr -5.019 4.184 2.776
Sr -9.036 0.394 1.216
Sr 6.363 -0.738 6.499
Sr 2.771 3.611 5.449
Ba 0.212 4.070 0.255
Ba -1.336 -0.172 3.858
```

=====

Quick ranking, most stable first: version one, version two.